Entry 1:
A plane-wave DFT calculation with GGA-PBE was carried out for Mg3Si4 after structural relaxation.

a = 5.760 Å, b = 6.934 Å, c = 7.205 Å
α = 113.73°, β = 91.15°, γ = 107.71°
Atoms (fractional coordinates):
Mg  0.463  0.544  0.389
Mg  0.854  0.979  0.511
Mg  0.319  0.220  0.890
Mg  0.835  0.260  0.958
Mg  0.976  0.569  0.428
Mg  0.080  0.092  0.213
Si  0.390  0.835  0.850
Si  0.665  0.379  0.661
Si  0.575  0.146  0.255
Si  0.765  0.662  0.076
Si  0.804  0.806  0.807
Si  0.367  0.947  0.462
Si  0.151  0.413  0.672
Si  0.256  0.649  0.075

E_form	0.223	eV per atom
space-group type	No. 1
crystal system	triclinic

---

Entry 2:
A plane-wave DFT calculation with GGA-PBE was carried out for Mg5Si6 after structural relaxation.

a = 15.478 Å, b = 15.478 Å, c = 6.875 Å
α = 78.87°, β = 78.87°, γ = 14.43°
Atoms (fractional coordinates):
Mg  0.079  0.079  0.039
Mg  0.874  0.874  0.516
Mg  0.916  0.916  0.992
Mg  0.246  0.246  0.065
Mg  0.658  0.658  0.152
Mg  0.501  0.501  0.923
Mg  0.821  0.821  0.188
Mg  0.289  0.289  0.537
Mg  0.619  0.619  0.691
Mg  0.540  0.540  0.385
Si  0.052  0.052  0.687
Si  0.107  0.107  0.390
Si  0.800  0.800  0.821
Si  0.352  0.352  0.873
Si  0.985  0.985  0.238
Si  0.173  0.173  0.840
Si  0.730  0.730  0.390
Si  0.430  0.430  0.658
Si  0.979  0.979  0.611
Si  0.181  0.181  0.462
Si  0.725  0.725  0.757
Si  0.432  0.432  0.283

E_form	0.130	eV per atom
space-group type	No. 8
crystal system	monoclinic

---

Entry 3:
A plane-wave DFT calculation with GGA-PBE was carried out for Mg3Si4 after structural relaxation.

a = 5.228 Å, b = 7.347 Å, c = 7.473 Å
α = 114.12°, β = 99.11°, γ = 98.57°
Atoms (fractional coordinates):
Mg  0.626  0.023  0.434
Mg  0.117  0.829  0.623
Mg  0.419  0.660  0.909
Mg  0.107  0.264  0.965
Mg  0.460  0.470  0.459
Mg  0.024  0.929  0.131
Si  0.578  0.265  0.841
Si  0.675  0.926  0.777
Si  0.249  0.657  0.246
Si  0.721  0.600  0.196
Si  0.920  0.462  0.688
Si  0.904  0.371  0.324
Si  0.187  0.202  0.572
Si  0.513  0.089  0.081

E_form	0.142	eV per atom
space-group type	No. 1
crystal system	triclinic

---

Entry 4:
A plane-wave DFT calculation with GGA-PBE was carried out for Mg3Si4 after structural relaxation.

a = 5.081 Å, b = 7.016 Å, c = 7.841 Å
α = 110.64°, β = 93.50°, γ = 101.32°
Atoms (fractional coordinates):
Mg  0.902  0.898  0.423
Mg  0.386  0.770  0.644
Mg  0.676  0.611  0.942
Mg  0.372  0.206  0.961
Mg  0.798  0.468  0.514
Mg  0.261  0.850  0.119
Si  0.233  0.373  0.684
Si  0.821  0.207  0.771
Si  0.932  0.464  0.168
Si  0.458  0.565  0.258
Si  0.935  0.887  0.799
Si  0.220  0.281  0.341
Si  0.450  0.100  0.502
Si  0.809  0.067  0.120

E_form	0.164	eV per atom
space-group type	No. 1
crystal system	triclinic

---

Entry 5:
A plane-wave DFT calculation with GGA-PBE was carried out for Mg2Si3 after structural relaxation.

a = 3.769 Å, b = 6.159 Å, c = 17.408 Å
α = 83.29°, β = 83.92°, γ = 72.81°
Atoms (fractional coordinates):
Mg  0.293  0.993  0.241
Mg  0.043  0.924  0.757
Mg  0.393  0.939  0.058
Mg  0.865  0.162  0.912
Mg  0.780  0.466  0.745
Mg  0.571  0.435  0.249
Mg  0.920  0.391  0.566
Mg  0.429  0.521  0.419
Si  0.721  0.367  0.046
Si  0.041  0.656  0.986
Si  0.184  0.360  0.133
Si  0.550  0.804  0.887
Si  0.457  0.204  0.670
Si  0.896  0.704  0.314
Si  0.228  0.789  0.543
Si  0.122  0.112  0.447
Si  0.667  0.827  0.628
Si  0.682  0.076  0.364
Si  0.951  0.744  0.171
Si  0.207  0.524  0.861

E_form	0.145	eV per atom
space-group type	No. 1
crystal system	triclinic

---

Entry 6:
A plane-wave DFT calculation with GGA-PBE was carried out for Mg4Si7 after structural relaxation.

a = 15.550 Å, b = 15.550 Å, c = 6.514 Å
α = 86.28°, β = 86.28°, γ = 14.59°
Atoms (fractional coordinates):
Mg  0.186  0.186  0.173
Mg  0.392  0.392  0.445
Mg  0.959  0.959  0.269
Mg  0.818  0.818  0.653
Mg  0.226  0.226  0.661
Mg  0.598  0.598  0.209
Mg  0.934  0.934  0.746
Mg  0.854  0.854  0.143
Si  0.666  0.666  0.489
Si  0.664  0.664  0.871
Si  0.116  0.116  0.514
Si  0.115  0.115  0.888
Si  0.367  0.367  0.836
Si  0.426  0.426  0.051
Si  0.040  0.040  0.033
Si  0.743  0.743  0.968
Si  0.300  0.300  0.358
Si  0.495  0.495  0.539
Si  0.041  0.041  0.415
Si  0.746  0.746  0.346
Si  0.293  0.293  0.985
Si  0.502  0.502  0.911

E_form	0.263	eV per atom
space-group type	No. 8
crystal system	monoclinic

---

Entry 7:
A plane-wave DFT calculation with GGA-PBE was carried out for Mg2Si3 after structural relaxation.

a = 5.273 Å, b = 5.985 Å, c = 6.209 Å
α = 89.19°, β = 83.44°, γ = 85.68°
Atoms (fractional coordinates):
Mg  0.996  0.740  0.071
Mg  0.757  0.886  0.527
Mg  0.243  0.114  0.473
Mg  0.004  0.260  0.929
Si  0.810  0.391  0.541
Si  0.190  0.609  0.459
Si  0.394  0.947  0.854
Si  0.576  0.449  0.223
Si  0.424  0.551  0.777
Si  0.606  0.053  0.146

E_form	0.175	eV per atom
space-group type	No. 2
crystal system	triclinic

---

Entry 8:
A plane-wave DFT calculation with GGA-PBE was carried out for Mg4Si7 after structural relaxation.

a = 4.019 Å, b = 7.124 Å, c = 14.414 Å
α = 95.48°, β = 97.29°, γ = 92.49°
Atoms (fractional coordinates):
Mg  0.161  0.189  0.935
Mg  0.951  0.354  0.506
Mg  0.361  0.173  0.362
Mg  0.537  0.566  0.650
Mg  0.127  0.587  0.827
Mg  0.609  0.473  0.116
Mg  0.444  0.638  0.420
Mg  0.479  0.047  0.578
Si  0.696  0.461  0.938
Si  0.621  0.794  0.964
Si  0.168  0.844  0.059
Si  0.201  0.163  0.122
Si  0.003  0.742  0.556
Si  0.905  0.965  0.442
Si  0.749  0.153  0.216
Si  0.559  0.941  0.815
Si  0.025  0.259  0.687
Si  0.185  0.681  0.213
Si  0.893  0.446  0.317
Si  0.568  0.284  0.788
Si  0.019  0.902  0.714
Si  0.738  0.843  0.279

E_form	0.154	eV per atom
space-group type	No. 1
crystal system	triclinic

---

Entry 9:
A plane-wave DFT calculation with GGA-PBE was carried out for Mg5Si6 after structural relaxation.

a = 4.091 Å, b = 7.885 Å, c = 13.390 Å
α = 84.44°, β = 90.00°, γ = 90.00°
Atoms (fractional coordinates):
Mg  0.500  0.005  0.999
Mg  0.500  0.450  0.480
Mg  0.000  0.263  0.316
Mg  0.000  0.734  0.686
Mg  0.000  0.653  0.918
Mg  0.000  0.357  0.084
Mg  0.000  0.818  0.439
Mg  0.000  0.164  0.572
Mg  0.000  0.303  0.812
Mg  0.000  0.706  0.190
Si  0.500  0.389  0.945
Si  0.500  0.619  0.057
Si  0.500  0.892  0.574
Si  0.500  0.104  0.431
Si  0.000  0.042  0.163
Si  0.000  0.967  0.836
Si  0.500  0.326  0.668
Si  0.500  0.690  0.332
Si  0.500  0.466  0.224
Si  0.500  0.544  0.779
Si  0.500  0.033  0.734
Si  0.500  0.981  0.266

E_form	0.097	eV per atom
space-group type	No. 6
crystal system	monoclinic

---

Entry 10:
A plane-wave DFT calculation with GGA-PBE was carried out for Mg4Si7 after structural relaxation.

a = 3.754 Å, b = 6.733 Å, c = 15.731 Å
α = 77.91°, β = 90.00°, γ = 90.00°
Atoms (fractional coordinates):
Mg  0.000  0.133  0.070
Mg  0.000  0.233  0.488
Mg  0.500  0.020  0.635
Mg  0.500  0.497  0.334
Mg  0.000  0.578  0.153
Mg  0.500  0.799  0.820
Mg  0.500  0.500  0.581
Mg  0.500  0.949  0.417
Si  0.500  0.472  0.021
Si  0.500  0.836  0.033
Si  0.000  0.961  0.916
Si  0.000  0.510  0.913
Si  0.000  0.634  0.440
Si  0.000  0.816  0.556
Si  0.500  0.384  0.766
Si  0.500  0.879  0.188
Si  0.000  0.208  0.302
Si  0.500  0.212  0.918
Si  0.000  0.146  0.747
Si  0.500  0.257  0.193
Si  0.000  0.839  0.290
Si  0.000  0.640  0.713

E_form	0.216	eV per atom
space-group type	No. 6
crystal system	monoclinic

---

Entry 11:
A plane-wave DFT calculation with GGA-PBE was carried out for Mg3Si4 after structural relaxation.

a = 3.682 Å, b = 8.521 Å, c = 8.530 Å
α = 72.12°, β = 90.00°, γ = 90.00°
Atoms (fractional coordinates):
Mg  0.500  0.543  0.728
Mg  0.000  0.231  0.924
Mg  0.000  0.152  0.369
Mg  0.500  0.092  0.690
Mg  0.000  0.554  0.071
Mg  0.000  0.693  0.375
Si  0.500  0.306  0.126
Si  0.500  0.431  0.367
Si  0.000  0.824  0.676
Si  0.500  0.888  0.475
Si  0.500  0.003  0.178
Si  0.000  0.895  0.045
Si  0.000  0.356  0.577
Si  0.500  0.785  0.901

E_form	0.140	eV per atom
space-group type	No. 6
crystal system	monoclinic

---

Entry 12:
A plane-wave DFT calculation with GGA-PBE was carried out for Mg4Si3 after structural relaxation.

a = 7.661 Å, b = 7.661 Å, c = 7.344 Å
α = 63.21°, β = 63.21°, γ = 44.28°
Atoms (fractional coordinates):
Mg  0.078  0.766  0.232
Mg  0.703  0.883  0.692
Mg  0.610  0.793  0.315
Mg  0.117  0.297  0.308
Mg  0.752  0.439  0.071
Mg  0.561  0.248  0.929
Mg  0.234  0.922  0.768
Mg  0.207  0.390  0.685
Si  0.307  0.991  0.059
Si  0.530  0.211  0.328
Si  0.686  0.314  0.500
Si  0.789  0.470  0.672
Si  0.009  0.693  0.941
Si  0.134  0.866  0.500

E_form	0.059	eV per atom
space-group type	No. 5
crystal system	monoclinic

---

Entry 13:
A plane-wave DFT calculation with GGA-PBE was carried out for Mg3Si4 after structural relaxation.

a = 4.868 Å, b = 7.854 Å, c = 8.089 Å
α = 63.79°, β = 81.52°, γ = 74.71°
Atoms (fractional coordinates):
Mg  0.212  0.162  0.282
Mg  0.584  0.235  0.876
Mg  0.731  0.619  0.543
Mg  0.236  0.739  0.279
Mg  0.627  0.441  0.156
Mg  0.258  0.966  0.806
Si  0.186  0.687  0.686
Si  0.772  0.019  0.260
Si  0.795  0.264  0.523
Si  0.254  0.354  0.505
Si  0.026  0.389  0.884
Si  0.107  0.601  0.021
Si  0.753  0.940  0.596
Si  0.713  0.838  0.083

E_form	0.162	eV per atom
space-group type	No. 1
crystal system	triclinic

---

Entry 14:
A plane-wave DFT calculation with GGA-PBE was carried out for Mg4Si3 after structural relaxation.

a = 5.283 Å, b = 7.702 Å, c = 7.799 Å
α = 63.42°, β = 73.18°, γ = 70.68°
Atoms (fractional coordinates):
Mg  0.478  0.246  0.205
Mg  0.009  0.032  0.041
Mg  0.845  0.462  0.717
Mg  0.372  0.701  0.918
Mg  0.947  0.459  0.068
Mg  0.804  0.919  0.787
Mg  0.640  0.353  0.477
Mg  0.533  0.806  0.216
Si  0.254  0.665  0.600
Si  0.595  0.894  0.512
Si  0.419  0.259  0.864
Si  0.118  0.543  0.337
Si  0.209  0.137  0.608
Si  0.026  0.023  0.401

E_form	0.152	eV per atom
space-group type	No. 1
crystal system	triclinic

---

Entry 15:
A plane-wave DFT calculation with GGA-PBE was carried out for Mg3Si4 after structural relaxation.

a = 9.592 Å, b = 9.768 Å, c = 5.698 Å
α = 136.00°, β = 127.50°, γ = 48.27°
Atoms (fractional coordinates):
Mg  0.388  0.979  0.967
Mg  0.621  0.502  0.393
Mg  0.722  0.141  0.686
Mg  0.989  0.057  0.395
Mg  0.069  0.332  0.403
Mg  0.130  0.772  0.736
Si  0.080  0.386  0.990
Si  0.606  0.097  0.959
Si  0.831  0.741  0.892
Si  0.188  0.622  0.102
Si  0.403  0.387  0.358
Si  0.556  0.593  0.977
Si  0.804  0.699  0.233
Si  0.365  0.944  0.413

E_form	0.206	eV per atom
space-group type	No. 1
crystal system	triclinic

---

Entry 16:
A plane-wave DFT calculation with GGA-PBE was carried out for Mg4Si3 after structural relaxation.

a = 6.706 Å, b = 7.076 Å, c = 7.105 Å
α = 60.82°, β = 74.56°, γ = 68.10°
Atoms (fractional coordinates):
Mg  0.107  0.330  0.273
Mg  0.785  0.027  0.614
Mg  0.452  0.865  0.550
Mg  0.805  0.411  0.675
Mg  0.475  0.511  0.336
Mg  0.461  0.038  0.018
Mg  0.771  0.187  0.151
Mg  0.114  0.860  0.953
Si  0.421  0.487  0.931
Si  0.135  0.554  0.736
Si  0.809  0.745  0.277
Si  0.246  0.222  0.655
Si  0.789  0.641  0.973
Si  0.128  0.872  0.357

E_form	0.095	eV per atom
space-group type	No. 1
crystal system	triclinic

---

Entry 17:
A plane-wave DFT calculation with GGA-PBE was carried out for Mg5Si6 after structural relaxation.

a = 4.032 Å, b = 6.583 Å, c = 15.174 Å
α = 84.84°, β = 90.00°, γ = 90.00°
Atoms (fractional coordinates):
Mg  0.500  0.995  0.037
Mg  0.500  0.174  0.469
Mg  0.000  0.103  0.329
Mg  0.000  0.845  0.534
Mg  0.000  0.701  0.961
Mg  0.000  0.296  0.123
Mg  0.000  0.521  0.387
Mg  0.000  0.323  0.616
Mg  0.000  0.230  0.886
Mg  0.000  0.763  0.206
Si  0.500  0.393  0.990
Si  0.500  0.567  0.840
Si  0.500  0.004  0.646
Si  0.500  0.565  0.511
Si  0.500  0.060  0.211
Si  0.500  0.265  0.751
Si  0.500  0.622  0.666
Si  0.500  0.410  0.263
Si  0.500  0.603  0.110
Si  0.000  0.793  0.748
Si  0.500  0.942  0.853
Si  0.500  0.825  0.364

E_form	0.171	eV per atom
space-group type	No. 6
crystal system	monoclinic

---

no.,calculated density (g/cm3),E above lowest polymorph (eV per atom)
1,2.49,0.129
2,2.39,0.065
3,2.45,0.048
4,2.42,0.070
5,2.31,0.066
6,2.46,0.117
7,2.27,0.095
8,2.40,0.007
9,2.24,0.032
10,2.51,0.070
11,2.42,0.046
12,2.29,0.056
13,2.30,0.068
14,2.28,0.148
15,2.30,0.112
16,2.22,0.092
17,2.40,0.105